Na2CdH4Se2O10: optimized geometry, GGA-PBE.

a = 6.097 Å, b = 13.593 Å, c = 5.924 Å
α = 90.00°, β = 106.54°, γ = 90.00°
Sites, in units of the cell vectors:
Na 0.077 0.122 0.248
Na 0.077 0.378 0.748
Na 0.923 0.622 0.252
Na 0.923 0.878 0.752
Cd 0.500 0.000 0.000
Cd 0.500 0.500 0.500
H 0.185 0.157 0.824
H 0.185 0.343 0.324
H 0.401 0.207 0.003
H 0.401 0.293 0.503
H 0.599 0.707 0.497
H 0.599 0.793 0.997
H 0.815 0.657 0.676
H 0.815 0.843 0.176
Se 0.264 0.620 0.926
Se 0.264 0.880 0.426
Se 0.736 0.120 0.574
Se 0.736 0.380 0.074
O 0.049 0.699 0.904
O 0.049 0.801 0.404
O 0.212 0.556 0.671
O 0.212 0.944 0.171
O 0.248 0.540 0.140
O 0.248 0.960 0.640
O 0.304 0.146 0.978
O 0.304 0.354 0.478
O 0.481 0.173 0.512
O 0.481 0.327 0.012
O 0.519 0.673 0.988
O 0.519 0.827 0.488
O 0.696 0.646 0.522
O 0.696 0.854 0.022
O 0.752 0.040 0.360
O 0.752 0.460 0.860
O 0.788 0.056 0.829
O 0.788 0.444 0.329
O 0.951 0.199 0.596
O 0.951 0.301 0.096

MP2020-corrected energy: -203.20 eV for the cell shown
Magnetization: 0.000 μB/atom
Formation enthalpy at 0 K: -1.47 eV per atom
V: 470.6 Å³ per cell



CdP2H8O10: optimized geometry, GGA-PBE.

a = 5.453 Å, b = 10.554 Å, c = 8.921 Å
α = 90.00°, β = 123.42°, γ = 90.00°
Sites, in units of the cell vectors:
Cd 0.000 0.000 0.000
Cd 0.000 0.500 0.500
P 0.084 0.217 0.327
P 0.084 0.283 0.827
P 0.916 0.717 0.173
P 0.916 0.783 0.673
H 0.125 0.722 0.021
H 0.125 0.778 0.521
H 0.389 0.082 0.816
H 0.389 0.418 0.316
H 0.401 0.543 0.223
H 0.401 0.957 0.723
H 0.428 0.111 0.571
H 0.428 0.389 0.071
H 0.572 0.611 0.929
H 0.572 0.889 0.429
H 0.599 0.043 0.277
H 0.599 0.457 0.777
H 0.611 0.582 0.684
H 0.611 0.918 0.184
H 0.875 0.222 0.479
H 0.875 0.278 0.979
O 0.039 0.679 0.367
O 0.039 0.821 0.867
O 0.145 0.141 0.861
O 0.145 0.359 0.361
O 0.146 0.673 0.126
O 0.146 0.827 0.626
O 0.375 0.138 0.449
O 0.375 0.362 0.949
O 0.498 0.540 0.729
O 0.498 0.960 0.229
O 0.502 0.040 0.771
O 0.502 0.460 0.271
O 0.625 0.638 0.051
O 0.625 0.862 0.551
O 0.854 0.173 0.374
O 0.854 0.327 0.874
O 0.855 0.641 0.639
O 0.855 0.859 0.139
O 0.961 0.179 0.133
O 0.961 0.321 0.633

MP2020-corrected energy: -252.27 eV for the cell shown
Magnetization: 0.000 μB/atom
Formation enthalpy at 0 K: -1.80 eV per atom
V: 428.5 Å³ per cell



CdP2H6O7: optimized geometry, GGA-PBE.

a = 6.829 Å, b = 7.675 Å, c = 8.052 Å
α = 113.61°, β = 110.10°, γ = 95.21°
Sites, in units of the cell vectors:
Cd 0.072 0.264 0.375
Cd 0.928 0.736 0.625
P 0.192 0.248 0.839
P 0.389 0.741 0.533
P 0.611 0.259 0.467
P 0.808 0.752 0.161
H 0.120 0.840 0.053
H 0.140 0.424 0.934
H 0.299 0.771 0.970
H 0.368 0.935 0.596
H 0.396 0.253 0.125
H 0.479 0.305 0.692
H 0.521 0.695 0.308
H 0.604 0.747 0.875
H 0.632 0.065 0.404
H 0.701 0.229 0.030
H 0.860 0.576 0.066
H 0.880 0.160 0.947
O 0.005 0.078 0.777
O 0.145 0.766 0.932
O 0.192 0.617 0.524
O 0.251 0.253 0.674
O 0.374 0.669 0.315
O 0.391 0.255 0.324
O 0.410 0.252 0.002
O 0.590 0.748 0.998
O 0.609 0.745 0.676
O 0.626 0.331 0.685
O 0.749 0.747 0.326
O 0.808 0.383 0.476
O 0.855 0.234 0.068
O 0.995 0.922 0.223

MP2020-corrected energy: -185.95 eV for the cell shown
Magnetization: 0.000 μB/atom
Formation enthalpy at 0 K: -1.64 eV per atom
V: 350.2 Å³ per cell



Rb2Cd3H10S4O21: optimized geometry, GGA-PBE.

a = 20.167 Å, b = 10.022 Å, c = 10.122 Å
α = 90.00°, β = 101.38°, γ = 90.00°
Sites, in units of the cell vectors:
Rb 0.125 0.164 0.367
Rb 0.125 0.336 0.867
Rb 0.255 0.010 0.765
Rb 0.255 0.490 0.265
Rb 0.745 0.510 0.735
Rb 0.745 0.990 0.235
Rb 0.875 0.664 0.133
Rb 0.875 0.836 0.633
Cd 0.062 0.721 0.941
Cd 0.062 0.779 0.441
Cd 0.324 0.654 0.668
Cd 0.324 0.846 0.168
Cd 0.343 0.137 0.441
Cd 0.343 0.363 0.941
Cd 0.657 0.637 0.059
Cd 0.657 0.863 0.559
Cd 0.676 0.154 0.832
Cd 0.676 0.346 0.332
Cd 0.938 0.221 0.559
Cd 0.938 0.279 0.059
H 0.015 0.150 0.891
H 0.015 0.350 0.391
H 0.048 0.090 0.031
H 0.048 0.410 0.531
H 0.129 0.628 0.675
H 0.129 0.872 0.175
H 0.152 0.562 0.552
H 0.152 0.938 0.052
H 0.392 0.613 0.435
H 0.392 0.887 0.935
H 0.413 0.006 0.036
H 0.413 0.494 0.536
H 0.417 0.587 0.914
H 0.417 0.913 0.414
H 0.418 0.178 0.822
H 0.418 0.322 0.322
H 0.436 0.007 0.295
H 0.436 0.493 0.795
H 0.473 0.250 0.430
H 0.473 0.250 0.930
H 0.527 0.750 0.070
H 0.527 0.750 0.570
H 0.564 0.507 0.205
H 0.564 0.993 0.705
H 0.582 0.678 0.678
H 0.582 0.822 0.178
H 0.583 0.087 0.586
H 0.583 0.413 0.086
H 0.587 0.506 0.464
H 0.587 0.994 0.964
H 0.608 0.113 0.065
H 0.608 0.387 0.565
H 0.848 0.062 0.948
H 0.848 0.438 0.448
H 0.871 0.128 0.825
H 0.871 0.372 0.325
H 0.952 0.590 0.469
H 0.952 0.910 0.969
H 0.985 0.650 0.609
H 0.985 0.850 0.109
S 0.062 0.526 0.213
S 0.062 0.974 0.713
S 0.231 0.644 0.927
S 0.231 0.856 0.427
S 0.253 0.160 0.111
S 0.253 0.340 0.611
S 0.436 0.579 0.180
S 0.436 0.921 0.680
S 0.564 0.079 0.320
S 0.564 0.421 0.820
S 0.747 0.660 0.389
S 0.747 0.840 0.889
S 0.769 0.144 0.573
S 0.769 0.356 0.073
S 0.938 0.026 0.287
S 0.938 0.474 0.787
O 0.007 0.077 0.712
O 0.007 0.423 0.212
O 0.030 0.173 0.988
O 0.030 0.327 0.488
O 0.033 0.658 0.247
O 0.033 0.842 0.747
O 0.079 0.538 0.076
O 0.079 0.962 0.576
O 0.112 0.600 0.580
O 0.112 0.900 0.080
O 0.122 0.012 0.813
O 0.122 0.488 0.313
O 0.158 0.650 0.856
O 0.158 0.850 0.356
O 0.190 0.222 0.132
O 0.190 0.278 0.632
O 0.238 0.710 0.062
O 0.238 0.790 0.562
O 0.245 0.011 0.105
O 0.245 0.489 0.605
O 0.250 0.501 0.947
O 0.250 0.999 0.447
O 0.268 0.205 0.978
O 0.268 0.295 0.478
O 0.275 0.716 0.849
O 0.275 0.784 0.349
O 0.311 0.201 0.218
O 0.311 0.299 0.718
O 0.379 0.562 0.509
O 0.379 0.938 0.009
O 0.391 0.661 0.250
O 0.391 0.839 0.750
O 0.397 0.531 0.833
O 0.397 0.969 0.333
O 0.402 0.053 0.643
O 0.402 0.447 0.143
O 0.428 0.207 0.916
O 0.428 0.293 0.416
O 0.447 0.651 0.056
O 0.447 0.849 0.556
O 0.499 0.056 0.227
O 0.499 0.444 0.727
O 0.501 0.556 0.273
O 0.501 0.944 0.773
O 0.553 0.151 0.444
O 0.553 0.349 0.944
O 0.572 0.707 0.584
O 0.572 0.793 0.084
O 0.598 0.553 0.857
O 0.598 0.947 0.357
O 0.603 0.031 0.667
O 0.603 0.469 0.167
O 0.609 0.161 0.250
O 0.609 0.339 0.750
O 0.621 0.062 0.991
O 0.621 0.438 0.491
O 0.689 0.701 0.282
O 0.689 0.799 0.782
O 0.725 0.216 0.651
O 0.725 0.284 0.151
O 0.732 0.705 0.522
O 0.732 0.795 0.022
O 0.750 0.001 0.553
O 0.750 0.499 0.053
O 0.755 0.511 0.395
O 0.755 0.989 0.895
O 0.762 0.210 0.438
O 0.762 0.290 0.938
O 0.810 0.722 0.368
O 0.810 0.778 0.868
O 0.842 0.150 0.644
O 0.842 0.350 0.144
O 0.878 0.512 0.687
O 0.878 0.988 0.187
O 0.888 0.100 0.920
O 0.888 0.400 0.420
O 0.921 0.038 0.424
O 0.921 0.462 0.924
O 0.967 0.158 0.253
O 0.967 0.342 0.753
O 0.970 0.673 0.512
O 0.970 0.827 0.012
O 0.993 0.577 0.788
O 0.993 0.923 0.288

MP2020-corrected energy: -908.89 eV for the cell shown
Magnetization: 0.000 μB/atom
Formation enthalpy at 0 K: -1.70 eV per atom
V: 2005.5 Å³ per cell



CdRe2H4O10: optimized geometry, GGA-PBE.

a = 7.833 Å, b = 9.220 Å, c = 14.270 Å
α = 73.80°, β = 87.49°, γ = 71.57°
Sites, in units of the cell vectors:
Cd 0.236 0.134 0.151
Cd 0.252 0.730 0.345
Cd 0.748 0.270 0.655
Cd 0.764 0.866 0.849
Re 0.241 0.593 0.949
Re 0.245 0.090 0.889
Re 0.258 0.136 0.587
Re 0.283 0.364 0.378
Re 0.717 0.636 0.622
Re 0.742 0.864 0.413
Re 0.755 0.910 0.111
Re 0.759 0.407 0.051
H 0.006 0.924 0.686
H 0.041 0.550 0.690
H 0.181 0.043 0.366
H 0.237 0.565 0.211
H 0.293 0.795 0.129
H 0.468 0.295 0.206
H 0.477 0.773 0.182
H 0.485 0.134 0.288
H 0.515 0.866 0.712
H 0.523 0.227 0.818
H 0.532 0.705 0.794
H 0.707 0.205 0.871
H 0.763 0.435 0.789
H 0.819 0.957 0.634
H 0.959 0.450 0.310
H 0.994 0.076 0.314
O 0.047 0.354 0.352
O 0.049 0.255 0.612
O 0.049 0.683 0.868
O 0.081 0.059 0.826
O 0.125 0.039 0.306
O 0.167 0.574 0.269
O 0.175 0.096 0.007
O 0.236 0.711 0.027
O 0.239 0.945 0.631
O 0.243 0.404 0.019
O 0.253 0.401 0.496
O 0.277 0.272 0.828
O 0.320 0.138 0.458
O 0.342 0.781 0.462
O 0.344 0.823 0.181
O 0.395 0.231 0.247
O 0.429 0.129 0.664
O 0.434 0.579 0.880
O 0.453 0.939 0.894
O 0.480 0.411 0.346
O 0.520 0.589 0.654
O 0.547 0.061 0.106
O 0.566 0.421 0.120
O 0.571 0.871 0.336
O 0.605 0.769 0.753
O 0.656 0.177 0.819
O 0.658 0.219 0.538
O 0.680 0.862 0.542
O 0.723 0.728 0.172
O 0.747 0.599 0.504
O 0.757 0.596 0.981
O 0.761 0.055 0.369
O 0.764 0.289 0.973
O 0.825 0.904 0.993
O 0.833 0.426 0.731
O 0.875 0.961 0.694
O 0.919 0.941 0.174
O 0.951 0.317 0.132
O 0.951 0.745 0.388
O 0.953 0.646 0.648

MP2020-corrected energy: -462.96 eV for the cell shown
Magnetization: 0.059 μB/atom
Formation enthalpy at 0 K: -1.58 eV per atom
V: 937.8 Å³ per cell



Cd2H2SO6: optimized geometry, GGA-PBE.

a = 7.113 Å, b = 7.624 Å, c = 11.624 Å
α = 90.00°, β = 119.73°, γ = 90.00°
Sites, in units of the cell vectors:
Cd 0.152 0.036 0.168
Cd 0.152 0.464 0.668
Cd 0.332 0.168 0.505
Cd 0.332 0.332 0.005
Cd 0.668 0.668 0.995
Cd 0.668 0.832 0.495
Cd 0.848 0.536 0.332
Cd 0.848 0.964 0.832
H 0.070 0.714 0.046
H 0.070 0.786 0.546
H 0.237 0.673 0.868
H 0.237 0.827 0.368
H 0.763 0.173 0.632
H 0.763 0.327 0.132
H 0.930 0.214 0.454
H 0.930 0.286 0.954
S 0.309 0.007 0.781
S 0.309 0.493 0.281
S 0.691 0.507 0.719
S 0.691 0.993 0.219
O 0.033 0.189 0.976
O 0.033 0.311 0.476
O 0.163 0.594 0.314
O 0.163 0.906 0.814
O 0.241 0.516 0.138
O 0.241 0.984 0.638
O 0.301 0.198 0.808
O 0.301 0.302 0.308
O 0.320 0.566 0.875
O 0.320 0.934 0.375
O 0.464 0.059 0.134
O 0.464 0.441 0.634
O 0.536 0.559 0.366
O 0.536 0.941 0.866
O 0.680 0.066 0.625
O 0.680 0.434 0.125
O 0.699 0.698 0.692
O 0.699 0.802 0.192
O 0.759 0.016 0.362
O 0.759 0.484 0.862
O 0.837 0.094 0.186
O 0.837 0.406 0.686
O 0.967 0.689 0.524
O 0.967 0.811 0.024

Energy above the most stable polymorph in this dataset: 0.000 eV per atom
MP2020-corrected energy: -241.86 eV for the cell shown
Magnetization: 0.000 μB/atom
Formation enthalpy at 0 K: -1.64 eV per atom
V: 547.4 Å³ per cell